Entry 1:
First-principles (PBE) data for a relaxed CuHgSe2O6 crystal, as listed in Materials Project.

Calculated values
Magnetization   4.06 μB/cell
Calculated formation energy   -1075 meV/atom

Unit cell a=10.574 b=7.539 c=7.738 alpha=85.16 beta=90.00 gamma=90.00
Positions (direct):
Se 0.719 0.755 0.567
Se 0.781 0.255 0.567
Se 0.219 0.745 0.433
Se 0.109 0.189 0.049
Se 0.281 0.245 0.433
Se 0.609 0.311 0.951
Se 0.391 0.689 0.049
Se 0.891 0.811 0.951
O 0.117 0.920 0.462
O 0.384 0.063 0.450
O 0.643 0.087 0.996
O 0.492 0.294 0.792
O 0.616 0.937 0.550
O 0.508 0.706 0.208
O 0.211 0.212 0.636
O 0.008 0.794 0.792
O 0.992 0.206 0.208
O 0.617 0.580 0.538
O 0.884 0.437 0.550
O 0.711 0.288 0.364
O 0.883 0.080 0.538
O 0.485 0.658 0.867
O 0.383 0.420 0.462
O 0.116 0.563 0.450
O 0.289 0.712 0.636
O 0.985 0.842 0.133
O 0.357 0.913 0.004
O 0.015 0.158 0.867
O 0.143 0.413 0.004
O 0.515 0.342 0.133
O 0.857 0.587 0.996
O 0.789 0.788 0.364
Hg 0.555 0.010 0.261
Hg 0.445 0.990 0.739
Hg 0.945 0.510 0.261
Hg 0.055 0.490 0.739
Cu 0.083 0.019 0.684
Cu 0.583 0.481 0.316
Cu 0.917 0.981 0.316
Cu 0.417 0.519 0.684

=====

Entry 2:
First-principles (PBE) data for a relaxed Eu3Cu8Sn4 crystal, as listed in Materials Project.

Calculated values
Magnetization   42.07 μB/cell
Calculated formation energy   -308 meV/atom

Unit cell a=9.236 b=9.236 c=7.828 alpha=90.00 beta=90.00 gamma=120.00
Positions (direct):
Cu 0.000 0.000 0.274
Cu 0.163 0.325 0.328
Cu 0.800 0.900 0.022
Cu 0.100 0.900 0.022
Cu 0.667 0.333 0.172
Cu 0.200 0.100 0.522
Cu 0.837 0.675 0.828
Cu 0.333 0.667 0.672
Cu 0.900 0.800 0.522
Cu 0.100 0.200 0.022
Cu 0.163 0.837 0.328
Cu 0.325 0.163 0.828
Cu 0.900 0.100 0.522
Cu 0.675 0.837 0.328
Cu 0.000 0.000 0.774
Cu 0.837 0.163 0.828
Eu 0.949 0.475 0.501
Eu 0.525 0.051 0.501
Eu 0.051 0.525 0.001
Eu 0.475 0.525 0.001
Eu 0.475 0.949 0.001
Eu 0.525 0.475 0.501
Sn 0.832 0.665 0.206
Sn 0.168 0.335 0.706
Sn 0.333 0.667 0.316
Sn 0.832 0.168 0.206
Sn 0.335 0.168 0.206
Sn 0.667 0.333 0.816
Sn 0.665 0.832 0.706
Sn 0.168 0.832 0.706

=====

Entry 3:
First-principles (PBE) data for a relaxed Ba3La2I12 crystal, as listed in Materials Project.

Calculated values
Magnetization   0.00 μB/cell
Calculated formation energy   -1853 meV/atom

Unit cell a=13.920 b=15.200 c=15.541 alpha=89.46 beta=90.00 gamma=90.00
Positions (direct):
I 0.015 0.132 0.225
I 0.051 0.401 0.354
I 0.137 0.992 0.568
I 0.363 0.492 0.068
I 0.263 0.257 0.464
I 0.763 0.243 0.036
I 0.551 0.099 0.146
I 0.385 0.406 0.819
I 0.941 0.619 0.949
I 0.964 0.898 0.084
I 0.441 0.881 0.551
I 0.122 0.610 0.183
I 0.559 0.119 0.449
I 0.378 0.110 0.683
I 0.885 0.094 0.681
I 0.863 0.008 0.432
I 0.744 0.000 0.899
I 0.615 0.594 0.181
I 0.737 0.743 0.536
I 0.297 0.235 0.213
I 0.703 0.765 0.787
I 0.622 0.890 0.317
I 0.115 0.906 0.319
I 0.620 0.215 0.791
I 0.237 0.757 0.964
I 0.120 0.285 0.709
I 0.536 0.398 0.584
I 0.203 0.735 0.713
I 0.036 0.102 0.916
I 0.464 0.602 0.416
I 0.813 0.308 0.560
I 0.256 0.000 0.101
I 0.449 0.901 0.854
I 0.756 0.500 0.399
I 0.515 0.368 0.275
I 0.313 0.192 0.940
I 0.949 0.599 0.646
I 0.637 0.508 0.932
I 0.380 0.785 0.209
I 0.059 0.381 0.051
I 0.797 0.265 0.287
I 0.244 0.500 0.601
I 0.485 0.632 0.725
I 0.878 0.390 0.817
I 0.985 0.868 0.775
I 0.687 0.808 0.060
I 0.187 0.692 0.440
I 0.880 0.715 0.291
Ba 0.720 0.546 0.720
Ba 0.512 0.313 0.006
Ba 0.220 0.954 0.780
Ba 0.488 0.687 0.994
Ba 0.780 0.046 0.220
Ba 0.402 0.005 0.292
Ba 0.280 0.454 0.280
Ba 0.098 0.505 0.792
Ba 0.012 0.187 0.494
Ba 0.598 0.995 0.708
Ba 0.988 0.813 0.506
Ba 0.902 0.495 0.208
La 0.834 0.188 0.851
La 0.145 0.192 0.073
La 0.166 0.812 0.149
La 0.355 0.692 0.573
La 0.666 0.688 0.351
La 0.334 0.312 0.649
La 0.855 0.808 0.927
La 0.645 0.308 0.427

=====

Entry 4:
First-principles (PBE) data for a relaxed Ga2BiAs crystal, as listed in Materials Project.

Calculated values
Magnetization   0.00 μB/cell
Calculated formation energy   -112 meV/atom

Unit cell a=4.300 b=4.300 c=6.146 alpha=90.00 beta=90.00 gamma=90.00
Positions (direct):
Ga 0.500 0.000 0.726
Ga 0.000 0.500 0.274
As 0.500 0.500 0.500
Bi 0.000 0.000 0.000

=====

Entry 5:
First-principles (PBE) data for a relaxed Sm2TeO2 crystal, as listed in Materials Project.

Calculated values
Calculated formation energy   -3194 meV/atom

Unit cell a=4.023 b=4.023 c=7.016 alpha=106.66 beta=106.66 gamma=90.00
Positions (direct):
Te 0.000 0.000 0.000
O 0.750 0.250 0.500
O 0.250 0.750 0.500
Sm 0.339 0.339 0.678
Sm 0.661 0.661 0.322

=====

Entry 6:
First-principles (PBE) data for a relaxed DyMn2 crystal, as listed in Materials Project.

Calculated values
Magnetization   4.01 μB/cell
Calculated formation energy   52 meV/atom

Unit cell a=5.389 b=5.080 c=5.384 alpha=58.00 beta=60.03 gamma=57.86
Positions (direct):
Mn 0.625 0.625 0.125
Mn 0.625 0.125 0.625
Mn 0.125 0.625 0.625
Mn 0.625 0.625 0.625
Dy 0.998 0.006 0.998
Dy 0.252 0.244 0.252